# 1
Material: Ba6Mg7F26
Method: DFT, meta-GGA r2SCAN
State: relaxed

Formation enthalpy at 0 K in meV per atom: -3967
Calculated total energy in eV per atom: -10.877

Lattice parameters (Å, degrees): 10.111 10.111 10.111 146.44 106.21 83.54
Element x y z (fractional)
Ba (0.647, 0.147, 0.500)
Ba (0.353, 0.853, 0.500)
Ba (0.389, 0.649, 0.740)
Ba (0.909, 0.649, 0.260)
Ba (0.091, 0.351, 0.740)
Ba (0.611, 0.351, 0.260)
Mg (0.000, 0.253, 0.253)
Mg (0.268, 0.000, 0.268)
Mg (0.000, 0.747, 0.747)
Mg (0.732, 0.000, 0.732)
Mg (0.221, 0.221, 0.000)
Mg (0.779, 0.779, 0.000)
Mg (0.500, 0.500, 0.000)
F (0.129, 0.011, 0.655)
F (0.871, 0.526, 0.882)
F (0.644, 0.989, 0.118)
F (0.356, 0.474, 0.345)
F (0.871, 0.989, 0.345)
F (0.129, 0.474, 0.118)
F (0.356, 0.011, 0.882)
F (0.644, 0.526, 0.655)
F (0.612, 0.749, 0.362)
F (0.388, 0.749, 0.137)
F (0.612, 0.251, 0.863)
F (0.388, 0.251, 0.638)
F (0.837, 0.744, 0.581)
F (0.163, 0.744, 0.907)
F (0.837, 0.256, 0.093)
F (0.163, 0.256, 0.419)
F (0.911, 0.911, 0.000)
F (0.089, 0.089, 0.000)
F (0.630, 0.630, 0.000)
F (0.912, 0.412, 0.500)
F (0.847, 0.127, 0.720)
F (0.153, 0.873, 0.280)
F (0.593, 0.873, 0.720)
F (0.407, 0.127, 0.280)
F (0.088, 0.588, 0.500)
F (0.370, 0.370, 0.000)

=====

# 2
Material: LiYbPd2
Method: DFT, meta-GGA r2SCAN
State: relaxed

Formation enthalpy at 0 K in meV per atom: -756
Calculated total energy in eV per atom: -21.965

Lattice parameters (Å, degrees): 4.595 4.595 4.595 60.00 60.00 60.00
Element x y z (fractional)
Li (0.250, 0.250, 0.250)
Yb (0.750, 0.750, 0.750)
Pd (0.000, 0.000, 0.000)
Pd (0.500, 0.500, 0.500)

=====

# 3
Material: K2Sb4O11
Method: DFT, meta-GGA r2SCAN
State: relaxed

Formation enthalpy at 0 K in meV per atom: -1711
Calculated total energy in eV per atom: -12.333

Lattice parameters (Å, degrees): 10.453 10.453 7.185 85.64 85.64 42.46
Element x y z (fractional)
K (0.759, 0.759, 0.004)
K (0.241, 0.241, 0.996)
K (0.988, 0.988, 0.262)
K (0.012, 0.012, 0.738)
Sb (0.428, 0.428, 0.097)
Sb (0.572, 0.572, 0.903)
Sb (0.425, 0.425, 0.616)
Sb (0.575, 0.575, 0.384)
Sb (0.583, 0.068, 0.435)
Sb (0.932, 0.417, 0.565)
Sb (0.417, 0.932, 0.565)
Sb (0.068, 0.583, 0.435)
O (0.173, 0.567, 0.187)
O (0.433, 0.827, 0.813)
O (0.827, 0.433, 0.813)
O (0.567, 0.173, 0.187)
O (0.024, 0.447, 0.332)
O (0.553, 0.976, 0.668)
O (0.976, 0.553, 0.668)
O (0.447, 0.024, 0.332)
O (0.843, 0.332, 0.432)
O (0.668, 0.157, 0.568)
O (0.157, 0.668, 0.568)
O (0.332, 0.843, 0.432)
O (0.672, 0.328, 0.000)
O (0.328, 0.672, 0.000)
O (0.839, 0.839, 0.353)
O (0.161, 0.161, 0.647)
O (0.618, 0.618, 0.135)
O (0.382, 0.382, 0.865)
O (0.667, 0.667, 0.493)
O (0.333, 0.333, 0.507)
O (0.476, 0.476, 0.345)
O (0.524, 0.524, 0.655)

=====

# 4
Material: NdScGe
Method: DFT, meta-GGA r2SCAN
State: relaxed

Formation enthalpy at 0 K in meV per atom: -831
Calculated total energy in eV per atom: -19.061

Lattice parameters (Å, degrees): 8.565 8.565 8.565 150.80 150.80 41.77
Element x y z (fractional)
Nd (0.677, 0.677, 0.000)
Nd (0.323, 0.323, 0.000)
Sc (0.500, 0.000, 0.500)
Sc (0.000, 0.500, 0.500)
Ge (0.122, 0.122, 0.000)
Ge (0.878, 0.878, 0.000)

=====

# 5
Material: La2PI2
Method: DFT, meta-GGA r2SCAN
State: relaxed

Formation enthalpy at 0 K in meV per atom: -1835
Calculated total energy in eV per atom: -25.357

Lattice parameters (Å, degrees): 4.341 4.341 11.072 90.00 90.00 120.00
Element x y z (fractional)
La (0.333, 0.667, 0.855)
La (0.667, 0.333, 0.145)
P (0.000, 0.000, 0.000)
I (0.667, 0.333, 0.662)
I (0.333, 0.667, 0.338)

=====

# 6
Material: Dy2ZnRu
Method: DFT, meta-GGA r2SCAN
State: relaxed

Formation enthalpy at 0 K in meV per atom: -408
Calculated total energy in eV per atom: -24.983

Lattice parameters (Å, degrees): 4.878 4.878 4.878 60.00 60.00 60.00
Element x y z (fractional)
Dy (0.500, 0.500, 0.500)
Dy (0.000, 0.000, 0.000)
Zn (0.750, 0.750, 0.750)
Ru (0.250, 0.250, 0.250)

=====

# 7
Material: Hg2TeO5
Method: DFT, meta-GGA r2SCAN
State: relaxed

Formation enthalpy at 0 K in meV per atom: -755
Calculated total energy in eV per atom: -20.007

Lattice parameters (Å, degrees): 5.922 7.365 10.034 90.00 90.00 90.00
Element x y z (fractional)
Hg (0.223, 0.734, 0.174)
Hg (0.777, 0.266, 0.674)
Hg (0.277, 0.234, 0.174)
Hg (0.723, 0.766, 0.674)
Hg (0.230, 0.520, 0.835)
Hg (0.770, 0.480, 0.335)
Hg (0.270, 0.020, 0.835)
Hg (0.730, 0.980, 0.335)
Te (0.241, 0.865, 0.502)
Te (0.759, 0.135, 0.002)
Te (0.259, 0.365, 0.502)
Te (0.741, 0.635, 0.002)
O (0.150, 0.834, 0.684)
O (0.850, 0.166, 0.184)
O (0.350, 0.334, 0.684)
O (0.650, 0.666, 0.184)
O (0.456, 0.715, 0.940)
O (0.544, 0.285, 0.440)
O (0.044, 0.215, 0.940)
O (0.956, 0.785, 0.440)
O (0.371, 0.617, 0.502)
O (0.629, 0.383, 0.002)
O (0.129, 0.117, 0.502)
O (0.871, 0.883, 0.002)
O (0.541, 0.943, 0.554)
O (0.459, 0.057, 0.054)
O (0.959, 0.443, 0.554)
O (0.041, 0.557, 0.054)
O (0.342, 0.909, 0.320)
O (0.658, 0.091, 0.820)
O (0.158, 0.409, 0.320)
O (0.842, 0.591, 0.820)

=====

# 8
Material: GdGaPd2
Method: DFT, meta-GGA r2SCAN
State: relaxed

Formation enthalpy at 0 K in meV per atom: -887
Calculated total energy in eV per atom: -26.077

Lattice parameters (Å, degrees): 5.625 7.066 7.448 90.00 90.00 90.00
Element x y z (fractional)
Gd (0.354, 0.250, 0.531)
Gd (0.146, 0.250, 0.031)
Gd (0.646, 0.750, 0.469)
Gd (0.854, 0.750, 0.969)
Ga (0.647, 0.250, 0.883)
Ga (0.853, 0.250, 0.383)
Ga (0.353, 0.750, 0.117)
Ga (0.147, 0.750, 0.617)
Pd (0.911, 0.052, 0.680)
Pd (0.589, 0.448, 0.180)
Pd (0.089, 0.552, 0.320)
Pd (0.411, 0.948, 0.820)
Pd (0.089, 0.948, 0.320)
Pd (0.411, 0.552, 0.820)
Pd (0.911, 0.448, 0.680)
Pd (0.589, 0.052, 0.180)

=====

# 9
Material: La3PBr3
Method: DFT, meta-GGA r2SCAN
State: relaxed

Formation enthalpy at 0 K in meV per atom: -1990
Calculated total energy in eV per atom: -21.706

Lattice parameters (Å, degrees): 10.453 10.453 10.453 109.47 109.47 109.47
Element x y z (fractional)
La (0.476, 0.488, 0.238)
La (0.750, 0.238, 0.262)
La (0.750, 0.012, 0.488)
La (0.238, 0.476, 0.488)
La (0.262, 0.750, 0.238)
La (0.024, 0.262, 0.012)
La (0.012, 0.024, 0.262)
La (0.488, 0.750, 0.012)
La (0.488, 0.238, 0.476)
La (0.012, 0.488, 0.750)
La (0.262, 0.012, 0.024)
La (0.238, 0.262, 0.750)
P (0.250, 0.250, 0.250)
P (0.500, 0.000, 0.250)
P (0.000, 0.250, 0.500)
P (0.250, 0.500, 0.000)
Br (0.250, 0.757, 0.743)
Br (0.515, 0.507, 0.757)
Br (0.985, 0.743, 0.993)
Br (0.743, 0.250, 0.757)
Br (0.993, 0.985, 0.743)
Br (0.250, 0.993, 0.507)
Br (0.757, 0.515, 0.507)
Br (0.507, 0.250, 0.993)
Br (0.757, 0.743, 0.250)
Br (0.743, 0.993, 0.985)
Br (0.993, 0.507, 0.250)
Br (0.507, 0.757, 0.515)

=====

# 10
Material: Na6MnS4O16
Method: DFT, meta-GGA r2SCAN
State: relaxed

Formation enthalpy at 0 K in meV per atom: -1955
Calculated total energy in eV per atom: -8.021

Lattice parameters (Å, degrees): 8.157 9.238 9.618 90.00 112.81 90.00
Element x y z (fractional)
Na (0.923, 0.848, 0.568)
Na (0.077, 0.152, 0.432)
Na (0.577, 0.348, 0.432)
Na (0.423, 0.652, 0.568)
Na (0.536, 0.988, 0.684)
Na (0.464, 0.012, 0.316)
Na (0.964, 0.488, 0.316)
Na (0.036, 0.512, 0.684)
Na (0.816, 0.366, 0.885)
Na (0.184, 0.634, 0.115)
Na (0.684, 0.866, 0.115)
Na (0.316, 0.134, 0.885)
Mn (0.000, 0.000, 0.000)
Mn (0.500, 0.500, 0.000)
S (0.786, 0.693, 0.856)
S (0.214, 0.307, 0.144)
S (0.714, 0.193, 0.144)
S (0.286, 0.807, 0.856)
S (0.666, 0.656, 0.347)
S (0.334, 0.344, 0.653)
S (0.834, 0.156, 0.653)
S (0.166, 0.844, 0.347)
O (0.849, 0.804, 0.978)
O (0.151, 0.196, 0.022)
O (0.651, 0.304, 0.022)
O (0.349, 0.696, 0.978)
O (0.938, 0.603, 0.864)
O (0.062, 0.397, 0.136)
O (0.562, 0.103, 0.136)
O (0.438, 0.897, 0.864)
O (0.012, 0.910, 0.365)
O (0.988, 0.090, 0.635)
O (0.488, 0.410, 0.635)
O (0.512, 0.590, 0.365)
O (0.704, 0.765, 0.709)
O (0.296, 0.235, 0.291)
O (0.796, 0.265, 0.291)
O (0.204, 0.735, 0.709)
O (0.655, 0.599, 0.884)
O (0.345, 0.401, 0.116)
O (0.845, 0.099, 0.116)
O (0.155, 0.901, 0.884)
O (0.833, 0.612, 0.470)
O (0.167, 0.388, 0.530)
O (0.667, 0.112, 0.530)
O (0.333, 0.888, 0.470)
O (0.321, 0.395, 0.797)
O (0.679, 0.605, 0.203)
O (0.179, 0.895, 0.203)
O (0.821, 0.105, 0.797)
O (0.849, 0.315, 0.659)
O (0.151, 0.685, 0.341)
O (0.651, 0.815, 0.341)
O (0.349, 0.185, 0.659)

=====

# 11
Material: BaZn5
Method: DFT, meta-GGA r2SCAN
State: relaxed

Formation enthalpy at 0 K in meV per atom: -233
Calculated total energy in eV per atom: -12.075

Lattice parameters (Å, degrees): 5.310 6.804 6.804 104.98 90.00 90.00
Element x y z (fractional)
Ba (0.750, 0.336, 0.336)
Ba (0.250, 0.664, 0.664)
Zn (0.500, 0.202, 0.798)
Zn (0.000, 0.798, 0.202)
Zn (0.250, 0.080, 0.080)
Zn (0.750, 0.920, 0.920)
Zn (0.250, 0.467, 0.078)
Zn (0.750, 0.533, 0.922)
Zn (0.250, 0.078, 0.467)
Zn (0.750, 0.922, 0.533)
Zn (0.000, 0.202, 0.798)
Zn (0.500, 0.798, 0.202)

=====

# 12
Material: AcSbAu2
Method: DFT, meta-GGA r2SCAN
State: relaxed

Formation enthalpy at 0 K in meV per atom: -719
Calculated total energy in eV per atom: -49.598

Lattice parameters (Å, degrees): 5.247 5.247 5.247 60.00 60.00 60.00
Element x y z (fractional)
Ac (0.250, 0.250, 0.250)
Sb (0.750, 0.750, 0.750)
Au (0.500, 0.500, 0.500)
Au (0.000, 0.000, 0.000)

=====

# 13
Material: PmYCu2
Method: DFT, meta-GGA r2SCAN
State: relaxed

Formation enthalpy at 0 K in meV per atom: -190
Calculated total energy in eV per atom: -18.077

Lattice parameters (Å, degrees): 4.953 4.953 4.953 60.00 60.00 60.00
Element x y z (fractional)
Pm (0.500, 0.500, 0.500)
Y (0.000, 0.000, 0.000)
Cu (0.750, 0.750, 0.750)
Cu (0.250, 0.250, 0.250)

=====

# 14
Material: CsRb
Method: DFT, meta-GGA r2SCAN
State: relaxed

Formation enthalpy at 0 K in meV per atom: 24
Calculated total energy in eV per atom: -19.495

Lattice parameters (Å, degrees): 5.227 5.227 8.390 90.00 90.00 108.93
Element x y z (fractional)
Cs (0.000, 0.000, 0.000)
Rb (0.500, 0.500, 0.500)

=====

# 15
Material: Er5Sb3
Method: DFT, meta-GGA r2SCAN
State: relaxed

ΔE to the lowest computed polymorph in eV per atom: 0.000
Formation enthalpy at 0 K in meV per atom: -1015
Calculated total energy in eV per atom: -31.858

Lattice parameters (Å, degrees): 8.058 9.158 11.748 90.00 90.00 90.00
Element x y z (fractional)
Er (0.671, 0.750, 0.727)
Er (0.309, 0.559, 0.567)
Er (0.844, 0.250, 0.209)
Er (0.191, 0.941, 0.067)
Er (0.309, 0.941, 0.567)
Er (0.691, 0.441, 0.433)
Er (0.809, 0.441, 0.933)
Er (0.975, 0.750, 0.505)
Er (0.156, 0.750, 0.791)
Er (0.329, 0.250, 0.273)
Er (0.475, 0.250, 0.995)
Er (0.809, 0.059, 0.933)
Er (0.191, 0.559, 0.067)
Er (0.025, 0.250, 0.495)
Er (0.344, 0.750, 0.291)
Er (0.691, 0.059, 0.433)
Er (0.525, 0.750, 0.005)
Er (0.829, 0.750, 0.227)
Er (0.656, 0.250, 0.709)
Er (0.171, 0.250, 0.773)
Sb (0.095, 0.250, 0.024)
Sb (0.936, 0.491, 0.674)
Sb (0.436, 0.991, 0.826)
Sb (0.064, 0.991, 0.326)
Sb (0.436, 0.509, 0.826)
Sb (0.595, 0.750, 0.476)
Sb (0.405, 0.250, 0.524)
Sb (0.564, 0.491, 0.174)
Sb (0.064, 0.509, 0.326)
Sb (0.905, 0.750, 0.976)
Sb (0.564, 0.009, 0.174)
Sb (0.936, 0.009, 0.674)

=====

# 16
Material: Rb2FeF5
Method: DFT, meta-GGA r2SCAN
State: relaxed

Formation enthalpy at 0 K in meV per atom: -2876
Calculated total energy in eV per atom: -10.114

Lattice parameters (Å, degrees): 5.800 7.506 11.972 90.00 90.00 90.00
Element x y z (fractional)
Rb (0.250, 0.484, 0.277)
Rb (0.750, 0.516, 0.723)
Rb (0.250, 0.984, 0.223)
Rb (0.750, 0.016, 0.777)
Rb (0.250, 0.157, 0.585)
Rb (0.750, 0.843, 0.415)
Rb (0.250, 0.657, 0.915)
Rb (0.750, 0.343, 0.085)
Fe (0.250, 0.665, 0.564)
Fe (0.750, 0.335, 0.436)
Fe (0.250, 0.165, 0.936)
Fe (0.750, 0.835, 0.064)
F (0.510, 0.187, 0.382)
F (0.010, 0.813, 0.618)
F (0.990, 0.687, 0.118)
F (0.490, 0.313, 0.882)
F (0.490, 0.813, 0.618)
F (0.990, 0.187, 0.382)
F (0.010, 0.313, 0.882)
F (0.510, 0.687, 0.118)
F (0.250, 0.781, 0.420)
F (0.750, 0.219, 0.580)
F (0.250, 0.281, 0.080)
F (0.750, 0.719, 0.920)
F (0.500, 0.500, 0.500)
F (0.000, 0.500, 0.500)
F (0.000, 0.000, 0.000)
F (0.500, 0.000, 0.000)
F (0.750, 0.984, 0.191)
F (0.250, 0.016, 0.809)
F (0.750, 0.484, 0.309)
F (0.250, 0.516, 0.691)